*w*
MgBe2Co4O8: relaxed, PBE+U.

The structure in POSCAR format:
```
MgBe2Co4O8
1.0
4.723 -0.352 3.104
-4.477 3.526 2.047
-2.976 -1.884 4.314
Mg Be Co O
1 2 4 8
Cartesian
-3.253 0.014 4.952 Mg
0.297 2.825 5.033 Be
-1.847 1.515 2.982 Be
1.488 0.470 2.953 Co
-0.062 -0.512 5.201 Co
-2.275 1.916 6.457 Co
-4.815 2.106 4.788 Co
1.916 0.159 4.986 O
0.491 -1.448 6.896 O
-0.391 1.643 5.947 O
-0.570 0.345 3.352 O
-2.751 1.816 4.392 O
-1.926 -1.267 5.307 O
-1.791 0.757 7.975 O
-4.152 0.929 6.423 O
```

***

*x*
MgBe2Co4O8: relaxed, PBE+U.

The structure in POSCAR format:
```
MgBe2Co4O8
1.0
-4.211 4.211 0.000
4.211 0.000 4.211
4.211 4.211 0.000
Mg Be Co O
1 2 4 8
Cartesian
2.106 6.317 2.106 Mg
0.000 0.000 0.000 Be
2.106 2.106 2.106 Be
-0.855 3.356 0.855 Co
0.855 5.066 0.855 Co
3.356 5.066 3.356 Co
5.066 3.356 3.356 Co
-1.095 5.306 1.095 O
1.019 7.403 1.019 O
1.019 5.230 3.192 O
1.095 3.116 1.095 O
3.116 3.116 3.116 O
3.192 5.230 1.019 O
3.192 7.403 3.192 O
5.306 5.306 3.116 O
```

***

*y*
MgBe2Co4O8: relaxed, PBE+U.

The structure in POSCAR format:
```
MgBe2Co4O8
1.0
4.260 -3.123 -2.175
0.346 1.971 5.350
-0.487 -3.778 4.472
Mg Be Co O
1 2 4 8
Cartesian
0.315 -2.259 3.861 Mg
4.437 -1.472 3.304 Be
1.285 -0.420 3.121 Be
2.688 -1.931 0.537 Co
2.445 -3.820 2.774 Co
2.618 -2.835 5.449 Co
0.488 -1.274 6.536 Co
3.745 -3.616 1.090 O
3.381 -5.663 3.316 O
3.754 -2.767 3.825 O
1.509 -1.977 2.231 O
1.673 -1.041 4.773 O
1.145 -4.024 4.457 O
3.562 -4.629 6.124 O
1.482 -2.903 7.072 O
```

***

Which one sits at the bottom of the stability order? *x* does.